Below is InSi4H41C15O after structural relaxation, with properties calculated at the PBE level.

Geometry as POSCAR:
```
InSi4H41C15O
1.0
9.167 1.823 -2.174
4.484 -3.081 16.321
1.697 -16.042 -6.292
In Si H C O
4 16 164 60 4
Cartesian
9.264 -10.440 10.406
2.142 -1.680 6.348
6.084 -6.860 -2.551
13.206 -15.620 1.507
6.711 -8.076 9.424
4.663 -14.687 -1.728
8.637 -9.224 -1.569
10.685 -2.613 9.582
9.156 -8.646 7.461
11.169 -14.448 -4.654
6.192 -8.655 0.394
4.179 -2.852 12.509
7.792 -13.393 9.165
3.891 -3.992 4.343
7.556 -3.907 -1.310
11.457 -13.308 3.512
4.416 -3.831 -1.883
4.605 -13.969 3.820
10.933 -13.469 9.737
10.743 -3.331 4.035
9.090 -7.853 9.729
11.918 -13.493 -2.579
6.258 -9.448 -1.874
3.430 -3.807 10.434
4.532 -8.252 8.268
6.024 -14.159 -3.723
10.816 -9.048 -0.414
9.324 -3.141 11.578
5.487 -9.695 7.899
5.600 -15.875 -3.765
9.862 -7.605 -0.045
9.748 -1.425 11.620
5.829 -8.162 7.065
4.401 -14.649 -4.233
9.519 -9.138 0.789
10.947 -2.651 12.088
5.602 -5.899 9.725
4.919 -12.238 -1.750
9.747 -11.401 -1.871
10.429 -5.062 9.605
6.817 -5.748 8.441
3.305 -12.649 -2.363
8.531 -11.552 -0.587
12.043 -4.651 10.218
7.322 -5.728 10.145
3.619 -12.668 -0.614
8.026 -11.572 -2.291
11.729 -4.632 8.468
5.793 -9.728 11.071
6.733 -15.744 -0.789
9.555 -7.572 -3.216
8.615 -1.556 8.644
4.900 -8.191 11.101
6.925 -13.991 -1.017
10.449 -9.109 -3.247
8.423 -3.309 8.871
6.486 -8.311 11.902
6.006 -14.609 0.378
8.862 -8.989 -4.048
9.342 -2.691 7.476
7.339 -9.822 6.161
1.669 -0.773 1.758
8.010 -7.478 1.694
13.679 -16.527 6.096
8.531 -10.981 6.780
1.374 -2.228 2.730
6.817 -6.319 1.075
13.974 -15.072 5.125
8.930 -9.964 5.382
9.237 0.273 -0.438
6.418 -7.336 2.473
6.111 -17.573 8.293
7.773 -6.724 6.533
2.045 -14.066 -3.745
7.575 -10.576 1.321
13.303 -3.234 11.600
9.214 -7.064 5.563
9.726 -13.165 -6.196
6.134 -10.236 2.292
5.623 -4.135 14.051
9.370 -6.168 7.086
9.931 -12.259 -4.685
5.978 -11.133 0.769
5.417 -5.041 12.539
11.365 -9.792 7.907
8.259 -0.234 2.896
3.983 -7.508 -0.053
7.089 -17.066 4.958
11.555 -8.023 7.870
9.141 -14.706 -3.195
3.793 -9.277 -0.016
6.207 -2.594 11.049
11.354 -8.932 6.357
7.285 0.435 1.575
3.994 -8.368 1.497
8.063 -17.735 6.279
5.754 -5.249 -0.490
4.619 -15.651 5.527
9.594 -12.051 8.345
10.729 -1.649 2.328
8.303 -15.592 10.282
4.751 -6.123 5.377
7.045 -1.708 -2.428
10.597 -11.178 2.477
6.559 -15.263 10.206
6.038 -5.191 4.582
8.789 -2.037 -2.352
9.310 -12.109 3.272
3.071 -11.373 -4.891
5.452 -4.696 6.182
12.277 -5.927 12.745
9.896 -12.604 1.673
6.729 -14.672 7.337
4.441 -4.951 2.132
8.620 -2.628 0.518
10.907 -12.349 5.723
8.490 -14.872 7.232
3.015 -5.785 2.783
6.858 -2.428 0.623
12.333 -11.515 5.072
7.728 -13.372 6.655
2.850 -4.166 2.064
7.620 -3.928 1.200
12.499 -13.134 5.790
6.336 -11.434 8.647
4.158 -1.692 3.416
9.012 -5.866 -0.792
11.190 -15.608 4.439
6.138 -11.916 10.349
5.233 -1.920 4.817
9.210 -5.384 -2.495
10.115 -15.380 3.038
5.368 -12.867 9.071
5.660 -2.633 3.254
9.981 -4.433 -1.216
9.688 -14.667 4.601
8.891 -7.263 11.986
3.678 -14.502 1.585
6.457 -10.037 -4.132
11.670 -2.798 6.269
9.710 -5.733 12.384
11.787 -11.523 0.254
5.638 -11.567 -4.530
3.561 -5.777 7.601
7.932 -5.828 12.426
4.139 -12.785 1.688
7.416 -11.472 -4.571
11.209 -4.515 6.167
5.061 -1.509 -1.074
3.581 -11.979 5.025
10.288 -15.791 8.928
11.767 -5.321 2.830
4.372 -2.478 0.251
5.075 -12.515 5.832
10.976 -14.822 7.604
10.274 -4.786 2.023
3.314 -1.806 -0.999
5.162 -11.614 4.310
12.034 -15.494 8.854
10.186 -5.686 3.545
1.965 -4.157 -1.694
6.828 -13.366 2.900
13.383 -13.143 9.548
8.520 -3.934 4.954
2.808 -5.116 -0.456
7.016 -14.455 4.293
12.540 -12.184 8.311
8.332 -2.845 3.561
2.752 -5.689 -2.143
6.540 -15.112 2.706
12.596 -11.611 9.998
8.808 -2.188 5.149
2.667 -7.972 -2.556
5.563 -1.193 8.394
12.681 -9.328 10.411
9.785 -16.107 -0.540
3.825 -9.321 -2.766
5.006 -2.883 8.591
11.523 -7.979 10.621
10.343 -14.417 -0.737
7.225 -11.941 12.227
5.158 -2.176 6.970
8.123 -5.359 -4.372
10.190 -15.124 0.885
3.352 -8.463 -3.268
4.868 -1.958 8.010
11.996 -8.838 11.123
10.481 -15.342 -0.155
8.513 -8.664 9.245
3.311 -15.901 -1.159
6.835 -8.636 -1.390
12.037 -1.399 9.014
5.548 -8.608 8.028
5.211 -14.878 -3.529
9.800 -8.692 -0.174
10.137 -2.422 11.384
6.625 -6.184 9.430
4.050 -12.899 -1.597
8.724 -11.116 -1.576
11.298 -4.401 9.451
5.905 -8.637 11.030
6.227 -14.776 -0.683
9.443 -8.663 -3.176
9.121 -2.524 8.538
8.407 -9.978 6.352
0.927 -1.290 2.379
6.941 -7.322 1.502
14.421 -16.010 5.476
8.834 -6.993 6.595
10.460 -12.872 -5.429
6.514 -10.307 1.260
4.888 -4.428 13.283
11.030 -8.872 7.409
9.683 -15.343 -3.909
4.318 -8.428 0.445
5.666 -1.957 11.763
5.940 -4.876 -1.516
13.053 -13.637 2.544
9.408 -12.425 9.371
2.295 -3.663 5.310
7.545 -14.807 10.390
5.138 -5.110 5.213
7.803 -2.493 -2.535
10.210 -12.191 2.641
7.693 -14.147 7.434
3.497 -4.805 2.681
7.655 -3.153 0.421
11.851 -12.495 5.173
6.272 -12.293 9.325
4.816 -2.407 3.923
9.076 -5.007 -1.471
10.532 -14.894 3.931
8.860 -6.378 12.638
3.665 -13.614 2.232
6.489 -10.922 -4.783
11.683 -3.687 5.622
4.302 -2.262 -0.826
4.587 -12.381 4.854
11.046 -15.038 8.680
10.761 -4.919 3.000
2.842 -4.798 -1.508
6.417 -14.263 3.391
12.506 -12.502 9.363
8.931 -3.037 4.463
4.319 -7.536 -3.758
3.521 -1.491 8.068
11.029 -9.765 11.613
11.827 -15.809 -0.214
```

Output
The symmetry is No. 14. The volume comes out at 11.39 Å³/atom. The theoretical density is 1.1 Mg/m³. For the raw total energy, the calculation gives -5.163 eV/atom.

***

Below is KMgHC2O10 after structural relaxation, with properties calculated at the PBE level.

Geometry as POSCAR:
```
KMgHC2O10
1.0
-2.357 3.001 3.434
-6.166 0.037 -2.141
-4.199 -4.759 2.667
K Mg H C O
1 1 1 2 10
Cartesian
-3.083 0.019 -1.071
-3.278 -0.879 3.051
0.000 0.000 0.000
-6.171 -1.807 3.950
-6.551 0.087 0.011
-6.963 -1.880 4.968
-5.760 0.159 -1.008
-8.452 -1.724 2.683
-4.270 0.004 1.277
-6.640 -1.992 2.733
-6.083 0.271 1.227
-8.788 -0.431 2.817
-3.934 -1.290 1.143
-4.915 -1.592 4.037
-7.807 -0.128 -0.077
```

Output
The symmetry is No. 2. The volume comes out at 13.43 Å³/atom. The theoretical density is 2.0 Mg/m³. For the raw total energy, the calculation gives -5.956 eV/atom.

***

Below is K2MgH8C2O10 after structural relaxation, with properties calculated at the PBE level.

Geometry as POSCAR:
```
K2MgH8C2O10
1.0
-4.106 4.694 0.640
-5.249 -4.481 -0.809
-3.925 -4.871 10.543
K Mg H C O
4 2 16 4 20
Cartesian
-10.727 -3.420 8.543
-5.347 -2.722 7.233
-7.933 -1.935 3.142
-2.552 -1.237 1.831
-2.053 2.347 0.320
-1.962 -2.435 5.271
-5.934 -5.024 9.601
-8.814 -7.376 9.803
-7.329 -4.361 9.258
-9.006 -6.198 8.658
-9.108 -1.364 6.574
-6.988 -0.035 7.105
-8.702 -2.761 5.950
-6.013 -0.191 5.778
-7.267 -4.466 4.596
-4.577 -1.896 4.424
-6.291 -4.623 3.269
-4.171 -3.293 3.800
-4.273 1.541 1.716
-5.950 -0.296 1.117
-4.466 2.719 0.571
-7.346 0.367 0.774
-8.069 -1.176 9.024
-7.989 -4.982 6.748
-5.290 0.325 3.626
-5.210 -3.481 1.350
-6.593 -4.330 9.926
-9.045 -1.553 9.810
-9.384 -7.066 9.011
-6.836 -1.439 9.332
-8.440 -4.807 7.958
-8.339 -0.528 7.928
-7.948 -6.177 6.242
-7.586 -3.951 6.052
-9.332 -1.981 5.826
-6.131 0.285 6.677
-7.149 -4.942 3.697
-3.947 -2.676 4.548
-5.693 -0.706 4.322
-5.332 1.520 4.132
-4.940 -4.129 2.447
-4.839 0.150 2.416
-6.443 -3.218 1.042
-3.895 2.409 1.363
-4.234 -3.104 0.564
-6.687 -0.327 0.448
```

Output
The symmetry is No. 14. The volume comes out at 10.65 Å³/atom. The theoretical density is 2.0 Mg/m³. For the raw total energy, the calculation gives -5.770 eV/atom.

***

Below is K5HC2N4 after structural relaxation, with properties calculated at the PBE level.

Geometry as POSCAR:
```
K5HC2N4
1.0
-9.059 -1.141 0.158
0.225 -2.978 -8.630
1.373 -10.404 3.626
K H C N
20 4 8 16
Cartesian
-2.442 -2.572 -3.003
-1.708 -8.393 -2.984
-2.975 -5.476 -1.036
-2.196 -11.901 -2.766
-4.320 -2.155 0.631
-3.634 -7.358 2.445
-4.171 -10.915 0.810
-4.766 -6.935 -4.546
-5.474 -8.243 -1.125
-6.114 -3.660 -4.732
-5.764 -12.923 -4.349
-6.629 -5.362 0.674
-7.113 -9.648 -4.536
-7.932 -2.690 -1.262
0.590 -5.106 -3.054
1.276 -10.309 -1.241
-0.624 -3.542 -6.474
-0.069 -6.988 0.426
-0.602 -9.892 2.394
-1.111 -7.049 -6.256
-3.981 -4.728 1.528
-3.294 -9.930 3.341
0.250 -2.534 -3.951
0.937 -7.736 -2.138
-2.088 -9.257 -0.270
-2.709 -4.931 -4.622
-5.439 -4.390 -2.037
-4.687 -10.469 -2.762
-7.192 -6.114 -6.320
-6.664 -9.214 1.585
-0.111 -10.511 -4.618
-0.956 -3.207 -0.339
-2.157 -5.749 -3.862
-1.515 -10.361 -0.338
-3.266 -4.112 -5.376
-2.667 -8.156 -0.209
-5.150 -3.180 -1.990
-4.376 -9.540 -3.531
-5.723 -5.602 -2.090
-4.992 -11.395 -1.987
-6.887 -5.188 -7.094
-6.381 -8.003 1.638
-7.503 -7.043 -5.550
-6.954 -10.425 1.539
-0.377 -4.308 -0.401
0.447 -11.331 -3.864
-0.662 -9.693 -5.378
-1.529 -2.103 -0.272
```

Output
The symmetry is No. 130. The volume comes out at 19.29 Å³/atom. The theoretical density is 2.0 Mg/m³. For the raw total energy, the calculation gives -5.492 eV/atom.

***

Below is KH3CN after structural relaxation, with properties calculated at the PBE level.

Geometry as POSCAR:
```
KH3CN
1.0
-6.114 -1.354 -3.671
1.217 -5.532 0.014
-0.489 -0.086 8.629
K H C N
4 12 4 4
Cartesian
-3.859 -3.272 0.964
-4.513 -1.455 5.273
-1.527 -3.701 4.008
-0.873 -5.518 -0.302
-4.204 -5.225 -1.110
-4.427 -5.369 3.204
-1.182 -1.748 6.082
-0.959 -1.604 1.767
-4.194 -5.976 0.375
-4.734 -4.676 4.686
-1.192 -0.997 4.597
-0.652 -2.297 0.285
0.855 -5.133 2.870
0.200 -3.310 7.180
-6.241 -1.840 2.101
-5.586 -3.663 -2.209
-2.203 -2.937 -1.538
-2.867 -1.075 2.772
-3.183 -4.035 6.509
-2.520 -5.898 2.199
-4.812 -5.663 -0.391
-5.163 -5.223 3.922
-0.575 -1.310 5.362
-0.224 -1.750 1.049
```

Output
The symmetry is No. 14. The volume comes out at 13.18 Å³/atom. The theoretical density is 1.4 Mg/m³. For the raw total energy, the calculation gives -4.946 eV/atom.